1.
YZrO14: relaxed, PBE.

Cell lengths 8.395, 8.395, 8.395 Å; angles 60.00, 60.00, 60.00 degrees
Sites, in units of the cell vectors:
Y 0.125 0.125 0.125
Y 0.875 0.875 0.875
Zr 0.375 0.375 0.375
Zr 0.625 0.625 0.625
O 0.000 0.000 0.000
O 0.000 0.000 0.500
O 0.000 0.500 0.000
O 0.050 0.291 0.579
O 0.050 0.579 0.291
O 0.050 0.579 0.579
O 0.291 0.050 0.579
O 0.291 0.579 0.050
O 0.291 0.579 0.579
O 0.421 0.421 0.709
O 0.421 0.421 0.950
O 0.421 0.709 0.421
O 0.421 0.709 0.950
O 0.421 0.950 0.421
O 0.421 0.950 0.709
O 0.500 0.000 0.000
O 0.579 0.050 0.291
O 0.579 0.050 0.579
O 0.579 0.291 0.050
O 0.579 0.291 0.579
O 0.579 0.579 0.050
O 0.579 0.579 0.291
O 0.709 0.421 0.421
O 0.709 0.421 0.950
O 0.709 0.950 0.421
O 0.950 0.421 0.421
O 0.950 0.421 0.709
O 0.950 0.709 0.421

Values from the calculation:
- size of the total moment (μB/cell) = 1.95



2.
Tm6InCo2: relaxed, PBE.

Cell lengths 8.281, 8.281, 8.281 Å; angles 111.69, 110.25, 106.52 degrees
Sites, in units of the cell vectors:
Tm 0.028 0.236 0.792
Tm 0.185 0.286 0.471
Tm 0.185 0.714 0.899
Tm 0.318 0.012 0.693
Tm 0.318 0.625 0.307
Tm 0.443 0.236 0.208
Tm 0.557 0.764 0.792
Tm 0.682 0.375 0.693
Tm 0.682 0.988 0.307
Tm 0.815 0.286 0.101
Tm 0.815 0.714 0.529
Tm 0.972 0.764 0.208
In 0.000 0.000 0.000
In 0.500 0.500 0.000
Co 0.114 0.614 0.500
Co 0.369 0.000 0.369
Co 0.631 0.000 0.631
Co 0.886 0.386 0.500



3.
BaBr2O11: relaxed, PBE.

Cell lengths 7.071, 7.071, 11.986 Å; angles 90.00, 90.00, 120.00 degrees
Sites, in units of the cell vectors:
Ba 0.000 0.000 0.000
Ba 0.000 0.000 0.500
Br 0.333 0.667 0.032
Br 0.333 0.667 0.468
Br 0.667 0.333 0.532
Br 0.667 0.333 0.968
O 0.050 0.914 0.750
O 0.086 0.136 0.750
O 0.136 0.050 0.250
O 0.159 0.737 0.082
O 0.159 0.737 0.418
O 0.263 0.422 0.082
O 0.263 0.422 0.418
O 0.333 0.667 0.604
O 0.333 0.667 0.896
O 0.422 0.159 0.582
O 0.422 0.159 0.918
O 0.578 0.841 0.082
O 0.578 0.841 0.418
O 0.667 0.333 0.104
O 0.667 0.333 0.396
O 0.737 0.578 0.582
O 0.737 0.578 0.918
O 0.841 0.263 0.582
O 0.841 0.263 0.918
O 0.864 0.950 0.750
O 0.914 0.864 0.250
O 0.950 0.086 0.250

Values from the calculation:
- size of the total moment (μB/cell) = 0.00



4.
Sm2Ta2Cl2O7: relaxed, PBE.

Cell lengths 7.978, 7.978, 6.921 Å; angles 113.17, 113.17, 28.57 degrees
Sites, in units of the cell vectors:
Sm 0.193 0.193 0.163
Sm 0.807 0.807 0.837
Ta 0.465 0.465 0.200
Ta 0.535 0.535 0.800
Cl 0.180 0.180 0.566
Cl 0.820 0.820 0.434
O 0.047 0.047 0.840
O 0.324 0.324 0.067
O 0.418 0.418 0.846
O 0.500 0.500 0.500
O 0.582 0.582 0.154
O 0.676 0.676 0.933
O 0.953 0.953 0.160

Values from the calculation:
- size of the total moment (μB/cell) = 0.00



5.
CaCO3: relaxed, PBE.

Cell lengths 3.830, 5.123, 6.641 Å; angles 95.21, 105.69, 90.60 degrees
Sites, in units of the cell vectors:
Ca 0.109 0.315 0.258
Ca 0.891 0.685 0.742
C 0.485 0.207 0.754
C 0.515 0.793 0.246
O 0.224 0.715 0.102
O 0.307 0.382 0.639
O 0.381 0.962 0.718
O 0.619 0.038 0.282
O 0.693 0.618 0.361
O 0.776 0.285 0.898



6.
Li6CuS4: relaxed, PBE.

Cell lengths 7.688, 7.688, 7.688 Å; angles 152.90, 63.06, 124.25 degrees
Sites, in units of the cell vectors:
Li 0.120 0.000 0.120
Li 0.182 0.825 0.356
Li 0.469 0.825 0.644
Li 0.520 0.207 0.313
Li 0.880 0.000 0.880
Li 0.895 0.207 0.687
Cu 0.572 0.572 0.000
S 0.265 0.265 0.000
S 0.272 0.525 0.747
S 0.758 0.258 0.500
S 0.778 0.525 0.253

Values from the calculation:
- size of the total moment (μB/cell) = 0.00



7.
DyAlCu4: relaxed, PBE.

Cell lengths 5.159, 5.159, 4.046 Å; angles 90.00, 90.00, 120.00 degrees
Sites, in units of the cell vectors:
Dy 0.000 0.000 0.000
Al 0.333 0.667 0.000
Cu 0.501 0.002 0.500
Cu 0.501 0.499 0.500
Cu 0.667 0.333 0.000
Cu 0.998 0.499 0.500

Values from the calculation:
- size of the total moment (μB/cell) = 0.00



8.
Mg9Si5: relaxed, PBE.

Cell lengths 7.374, 7.416, 12.355 Å; angles 76.35, 81.83, 60.35 degrees
Sites, in units of the cell vectors:
Mg 0.000 0.000 0.000
Mg 0.003 0.988 0.641
Mg 0.165 0.524 0.675
Mg 0.231 0.476 0.427
Mg 0.241 0.280 0.999
Mg 0.255 0.115 0.352
Mg 0.270 0.555 0.161
Mg 0.311 0.665 0.849
Mg 0.535 0.626 0.317
Mg 0.540 0.757 0.995
Mg 0.593 0.156 0.822
Mg 0.604 0.212 0.531
Mg 0.616 0.829 0.677
Mg 0.634 0.977 0.164
Mg 0.848 0.403 0.822
Mg 0.851 0.471 0.522
Mg 0.861 0.324 0.167
Mg 0.940 0.913 0.363
Si 0.241 0.173 0.621
Si 0.250 0.951 0.168
Si 0.257 0.078 0.830
Si 0.314 0.741 0.504
Si 0.541 0.510 0.663
Si 0.568 0.241 0.309
Si 0.596 0.340 0.999
Si 0.908 0.746 0.829
Si 0.927 0.564 0.302
Si 0.929 0.663 0.038

Values from the calculation:
- size of the total moment (μB/cell) = 0.00



9.
CaAl2Si2O10: relaxed, PBE.

Cell lengths 5.301, 13.015, 5.362 Å; angles 90.00, 113.31, 90.00 degrees
Sites, in units of the cell vectors:
Ca 0.157 0.250 0.341
Ca 0.843 0.750 0.659
Al 0.000 0.000 0.000
Al 0.000 0.500 0.000
Al 0.500 0.000 0.500
Al 0.500 0.500 0.500
Si 0.493 0.630 0.031
Si 0.493 0.870 0.031
Si 0.507 0.130 0.969
Si 0.507 0.370 0.969
O 0.150 0.563 0.348
O 0.150 0.937 0.348
O 0.158 0.617 0.904
O 0.158 0.883 0.904
O 0.203 0.750 0.470
O 0.358 0.066 0.137
O 0.358 0.434 0.137
O 0.371 0.111 0.641
O 0.371 0.389 0.641
O 0.432 0.250 0.023
O 0.568 0.750 0.977
O 0.629 0.611 0.359
O 0.629 0.889 0.359
O 0.642 0.566 0.863
O 0.642 0.934 0.863
O 0.797 0.250 0.530
O 0.842 0.117 0.096
O 0.842 0.383 0.096
O 0.850 0.063 0.652
O 0.850 0.437 0.652

Values from the calculation:
- size of the total moment (μB/cell) = 3.90



10.
Mg14VCr: relaxed, PBE.

Cell lengths 10.040, 6.313, 6.313 Å; angles 60.37, 90.00, 90.00 degrees
Sites, in units of the cell vectors:
Mg 0.000 0.000 0.000
Mg 0.000 0.001 0.501
Mg 0.000 0.500 0.500
Mg 0.000 0.501 0.001
Mg 0.254 0.164 0.164
Mg 0.254 0.665 0.665
Mg 0.259 0.170 0.671
Mg 0.259 0.671 0.170
Mg 0.500 0.003 0.501
Mg 0.500 0.501 0.003
Mg 0.741 0.170 0.671
Mg 0.741 0.671 0.170
Mg 0.746 0.164 0.164
Mg 0.746 0.665 0.665
V 0.500 0.001 0.001
Cr 0.500 0.500 0.500

Values from the calculation:
- size of the total moment (μB/cell) = 6.82



11.
Li2TiF6: relaxed, PBE.

Cell lengths 4.722, 4.722, 9.069 Å; angles 90.00, 90.00, 90.00 degrees
Sites, in units of the cell vectors:
Li 0.000 0.000 0.162
Li 0.000 0.000 0.838
Li 0.500 0.500 0.338
Li 0.500 0.500 0.662
Ti 0.000 0.000 0.500
Ti 0.500 0.500 0.000
F 0.193 0.193 0.347
F 0.193 0.193 0.653
F 0.215 0.215 0.000
F 0.285 0.715 0.500
F 0.307 0.693 0.153
F 0.307 0.693 0.847
F 0.693 0.307 0.153
F 0.693 0.307 0.847
F 0.715 0.285 0.500
F 0.785 0.785 0.000
F 0.807 0.807 0.347
F 0.807 0.807 0.653



12.
LiCuP3O9: relaxed, PBE.

Cell lengths 8.262, 8.769, 8.919 Å; angles 90.00, 90.00, 90.00 degrees
Sites, in units of the cell vectors:
Li 0.121 0.084 0.113
Li 0.379 0.916 0.613
Li 0.621 0.416 0.887
Li 0.879 0.584 0.387
Cu 0.097 0.862 0.385
Cu 0.403 0.138 0.885
Cu 0.597 0.638 0.615
Cu 0.903 0.362 0.115
P 0.046 0.682 0.049
P 0.068 0.060 0.734
P 0.222 0.575 0.564
P 0.278 0.425 0.064
P 0.432 0.940 0.234
P 0.454 0.318 0.549
P 0.546 0.818 0.951
P 0.568 0.440 0.266
P 0.722 0.925 0.436
P 0.778 0.075 0.936
P 0.932 0.560 0.766
P 0.954 0.182 0.451
O 0.029 0.197 0.618
O 0.061 0.083 0.351
O 0.086 0.838 0.104
O 0.111 0.524 0.702
O 0.119 0.639 0.439
O 0.130 0.925 0.649
O 0.140 0.327 0.119
O 0.166 0.122 0.864
O 0.211 0.588 0.011
O 0.289 0.412 0.511
O 0.334 0.878 0.364
O 0.360 0.673 0.619
O 0.370 0.075 0.149
O 0.381 0.361 0.939
O 0.389 0.476 0.202
O 0.414 0.162 0.604
O 0.439 0.917 0.851
O 0.471 0.803 0.118
O 0.529 0.303 0.382
O 0.561 0.417 0.649
O 0.586 0.662 0.896
O 0.611 0.976 0.298
O 0.619 0.861 0.561
O 0.630 0.575 0.351
O 0.640 0.173 0.881
O 0.666 0.378 0.136
O 0.711 0.912 0.989
O 0.789 0.088 0.489
O 0.834 0.622 0.636
O 0.860 0.827 0.381
O 0.870 0.425 0.851
O 0.881 0.139 0.061
O 0.889 0.024 0.798
O 0.914 0.338 0.396
O 0.939 0.583 0.149
O 0.971 0.697 0.882

Values from the calculation:
- size of the total moment (μB/cell) = 4.00



13.
La6ZnSi2S14: relaxed, PBE.

Cell lengths 10.373, 10.373, 5.776 Å; angles 90.00, 90.00, 120.00 degrees
Sites, in units of the cell vectors:
La 0.023 0.456 0.000
La 0.311 0.211 0.500
La 0.433 0.977 0.000
La 0.544 0.567 0.000
La 0.789 0.099 0.500
La 0.901 0.689 0.500
Zn 0.667 0.333 0.737
Si 0.000 0.000 0.085
Si 0.333 0.667 0.586
S 0.000 0.000 0.720
S 0.075 0.218 0.226
S 0.143 0.925 0.226
S 0.191 0.742 0.727
S 0.258 0.449 0.727
S 0.333 0.667 0.222
S 0.424 0.250 0.979
S 0.505 0.091 0.500
S 0.551 0.809 0.727
S 0.585 0.495 0.500
S 0.750 0.173 0.979
S 0.782 0.857 0.226
S 0.827 0.576 0.979
S 0.909 0.415 0.500

Values from the calculation:
- size of the total moment (μB/cell) = 0.00



14.
Mg14CdBi: relaxed, PBE.

Cell lengths 10.443, 6.387, 6.387 Å; angles 61.53, 90.00, 90.00 degrees
Sites, in units of the cell vectors:
Mg 0.000 0.000 0.000
Mg 0.000 0.001 0.500
Mg 0.000 0.500 0.001
Mg 0.000 0.500 0.500
Mg 0.244 0.170 0.170
Mg 0.246 0.171 0.661
Mg 0.246 0.661 0.171
Mg 0.249 0.667 0.667
Mg 0.500 0.500 0.999
Mg 0.500 0.999 0.500
Mg 0.751 0.667 0.667
Mg 0.754 0.171 0.661
Mg 0.754 0.661 0.171
Mg 0.756 0.170 0.170
Cd 0.500 0.502 0.502
Bi 0.500 0.000 0.000

Values from the calculation:
- size of the total moment (μB/cell) = 0.00



no.,energy of formation (eV per atom)
1,-0.066
2,-0.295
3,-0.051
4,-3.350
5,-2.672
6,-1.223
7,-0.249
8,0.015
9,-2.668
10,0.157
11,-3.530
12,-2.403
13,-2.012
14,-0.014